Density functional theory data (PBE-GGA) for a relaxed Li5BiP4O14 crystal.

```
48
Lattice="-6.026 -0.089 -4.019 -6.747 -3.147 4.556 -4.765 8.191 2.871" Properties=species:S:1:pos:R:3 pbc="T T T"
Li -4.622 1.653 0.306
Li -6.255 3.937 1.732
Li -6.810 -0.173 -1.566
Li -4.154 -0.391 2.470
Li -7.652 1.350 1.473
Li -9.886 3.605 1.935
Li -13.384 5.347 0.937
Li -10.728 5.129 4.974
Li -11.284 1.019 1.676
Li -12.917 3.303 3.102
Bi -9.749 5.769 -0.734
Bi -7.790 -0.813 4.141
P -6.556 7.452 2.748
P -7.039 3.347 -1.012
P -9.315 6.651 2.629
P -9.796 2.264 -0.647
P -7.742 2.692 4.055
P -8.223 -1.695 0.778
P -10.499 1.609 4.420
P -10.982 -2.496 0.660
O -4.599 4.921 1.138
O -2.270 0.357 0.837
O -5.221 0.117 -2.870
O -7.419 4.813 -0.713
O -6.001 6.222 3.537
O -6.464 2.626 0.217
O -7.834 6.892 1.946
O -4.565 1.582 2.346
O -5.289 -0.215 -0.184
O -8.388 2.550 -1.416
O -9.906 5.633 1.615
O -10.380 3.657 -0.279
O -9.091 6.058 4.027
O -8.010 3.412 2.728
O -9.528 1.544 0.680
O -8.448 -1.103 -0.620
O -7.159 1.299 3.687
O -7.632 -0.678 1.793
O -9.150 2.406 4.824
O -12.249 5.171 3.592
O -12.973 3.374 1.062
O -9.704 -1.936 1.462
O -11.075 2.330 3.191
O -11.537 -1.266 -0.129
O -10.119 0.143 4.121
O -12.318 4.839 6.278
O -15.268 4.599 2.570
O -12.940 0.034 2.270
```

SG: P-1, No. 2
ΔH_f (0 K) in eV/atom: -2.606
Crystal system: triclinic